*1*
A relaxed LiTiMnO4 crystal. Source: Materials Project, functional PBE with a Hubbard U.

Output
V (Å³/atom): 10.27

```
28
Lattice="-5.934 1.994 0.760 -1.999 -4.406 -4.045 -0.858 -4.643 5.480" Properties=species:S:1:pos:R:3 pbc="T T T"
Li -6.375 1.022 -0.132
Li -7.921 -3.761 0.347
Li -1.523 -0.721 1.538
Li -7.268 -6.333 0.657
Ti -2.498 -2.932 -0.488
Ti -3.400 0.044 -0.495
Ti -4.962 -4.777 -0.050
Ti -6.293 -4.122 2.683
Mn -2.586 -3.525 2.577
Mn -3.766 -6.815 1.991
Mn -5.240 -1.400 1.574
Mn -5.991 -2.369 -1.751
O -0.984 -2.459 0.511
O -1.839 -4.135 -1.766
O -2.494 -4.075 5.342
O -3.995 -6.218 -0.758
O -3.338 -6.060 3.738
O -3.101 -4.250 0.840
O -3.482 -1.490 0.732
O -4.391 -3.407 -1.340
O -4.372 -3.499 3.359
O -5.337 -5.713 1.638
O -5.855 -3.167 1.021
O -5.289 -0.632 -1.210
O -4.432 1.133 0.628
O -6.661 -4.948 -0.823
O -6.887 -2.568 3.545
O -7.872 -4.947 2.099
```

---

*2*
A relaxed LiTiMnO4 crystal. Source: Materials Project, functional PBE with a Hubbard U.

Output
V (Å³/atom): 10.97

```
28
Lattice="2.853 -5.119 1.634 4.741 3.568 1.340 -2.899 0.698 7.769" Properties=species:S:1:pos:R:3 pbc="T T T"
Li 5.089 2.377 2.718
Li 2.695 -1.618 6.750
Li 4.341 0.341 9.362
Li 1.993 0.767 3.990
Ti -0.018 -2.206 4.696
Ti 2.329 -2.633 10.068
Ti 4.971 -0.994 4.178
Ti -0.277 0.129 6.576
Mn 2.098 1.922 7.233
Mn 3.794 -0.777 1.494
Mn 2.603 -2.770 3.496
Mn 3.289 3.917 5.231
O 5.455 0.986 4.219
O 0.208 2.110 6.617
O 4.401 -0.649 6.059
O -0.847 0.474 8.457
O 0.294 -0.200 4.688
O 5.541 -1.324 2.290
O -0.758 -1.840 6.519
O 4.489 -2.964 4.122
O 1.799 -2.576 5.261
O 1.292 2.114 9.000
O 6.692 -1.343 4.999
O 1.445 -0.221 7.398
O 2.901 1.728 5.471
O 3.406 -2.965 1.734
O -2.000 0.490 5.754
O 3.247 -0.634 3.356
```

---

Energy relative to the most stable one, in kJ/mol of atoms: *1* 7.1; *2* 0.0

---

*1*
A relaxed MgCo5O8 crystal. Source: Materials Project, functional PBE with a Hubbard U.

Output
V (Å³/atom): 13.11

```
14
Lattice="5.817 3.297 -0.286 7.266 -2.378 -0.399 0.982 3.821 -4.885" Properties=species:S:1:pos:R:3 pbc="T T T"
Mg 7.975 2.186 -2.739
Co 5.424 3.683 -2.081
Co 3.150 3.001 -3.072
Co 8.721 -0.473 -0.633
Co 4.955 0.595 -2.674
Co 5.422 2.410 -4.995
O 5.684 -0.707 -1.428
O 7.215 3.724 -1.689
O 9.609 2.418 -3.893
O 9.204 0.843 -1.879
O 4.922 3.837 -3.900
O 4.474 2.097 -1.675
O 6.386 1.456 -3.630
O 9.483 4.784 -4.439
```

---

*2*
A relaxed MgCo5O8 crystal. Source: Materials Project, functional PBE with a Hubbard U.

Output
V (Å³/atom): 10.24

```
14
Lattice="1.126 2.188 -5.333 2.394 -3.417 -4.124 -4.430 1.286 -3.639" Properties=species:S:1:pos:R:3 pbc="T T T"
Mg -2.714 2.343 -7.690
Co -0.375 0.057 -6.513
Co 0.827 -1.665 -8.578
Co 1.972 -2.239 -5.346
Co -0.932 -1.040 -3.860
Co -3.138 -0.396 -5.667
O 0.705 -2.017 -3.851
O 0.751 1.475 -7.112
O -0.639 -0.406 -8.379
O 1.439 -1.098 -6.863
O -2.169 1.200 -6.165
O -0.102 0.510 -4.657
O -1.484 -1.362 -5.917
O -1.433 2.123 -9.187
```

---

Energy relative to the most stable one, in kJ/mol of atoms: *1* 23.8; *2* 0.0